(1)
This record from the Materials Project describes a geometry-optimized Rb2NbCuS2 structure. The functional is PBE-GGA.

It has space group Fddd (No. 70, origin choice 2), with a = 7.367 Å, b = 9.753 Å, c = 44.535 Å, α = 90.00°, β = 90.00° and γ = 90.00°. The distinct sites, in fractional coordinates, are Rb at (0.101, 0.313, 0.071), Nb at (0.000, 0.000, 0.500), Cu at (0.000, 0.000, 0.000) and S at (0.055, 0.305, 0.966).

As for the formation energy: -0.50 eV/atom. The spin magnetization comes out at 0.018 μB/atom. For the total energy, the calculation gives -4.4052 eV/atom.

(2)
This record from the Materials Project describes a geometry-optimized Mg3Mn structure. The functional is PBE-GGA.

It has space group Fm-3m (No. 225), with a = 6.804 Å, b = 6.804 Å, c = 6.804 Å, α = 90.00°, β = 90.00° and γ = 90.00°. The distinct sites, in fractional coordinates, are Mg at (0.000, 0.000, 0.000), Mg at (0.250, 0.250, 0.250) and Mn at (0.000, 0.000, 0.500).

As for the formation energy: 0.17 eV/atom. The spin magnetization comes out at 0.903 μB/atom. For the total energy, the calculation gives -3.3176 eV/atom.

> Which of these has the lowest spin magnetization?

Rb2NbCuS2

> What is the formula in the second record?

Mg3Mn

> Among the records above, which one has the highest spin magnetization?

Mg3Mn